Entry 1:
Compound: Ca2NiN2
Source: Materials Project
Functional: PBE
Structure: relaxed

abc: 5.941 5.941 6.756
angles: 61.06 61.06 49.46
Fractional coordinates of all 10 atoms:
Ca1 0.322 0.322 0.596
Ca2 0.678 0.678 0.404
Ca3 0.960 0.960 0.767
Ca4 0.040 0.040 0.233
Ni1 0.626 0.626 0.876
Ni2 0.374 0.374 0.124
N1 0.815 0.815 0.610
N2 0.185 0.185 0.390
N3 0.528 0.528 0.197
N4 0.472 0.472 0.803

- E_tot: -5.892 eV per atom

---

Entry 2:
Compound: Sr2CaTi6N2O11
Source: Materials Project
Functional: PBE
Structure: relaxed

abc: 3.885 7.618 10.097
angles: 76.00 88.58 72.90
Fractional coordinates of all 22 atoms:
Sr1 0.446 0.970 0.523
Sr2 0.476 0.063 0.182
Ca1 0.570 0.962 0.863
Ti1 0.164 0.719 0.080
Ti2 0.169 0.654 0.421
Ti3 0.220 0.549 0.758
Ti4 0.785 0.465 0.258
Ti5 0.849 0.340 0.597
Ti6 0.867 0.282 0.949
N1 0.244 0.541 0.265
N2 0.841 0.329 0.120
O1 0.042 0.908 0.339
O2 0.074 0.763 0.620
O3 0.164 0.683 0.904
O4 0.645 0.744 0.107
O5 0.686 0.626 0.449
O6 0.758 0.482 0.767
O7 0.315 0.402 0.590
O8 0.376 0.269 0.908
O9 0.907 0.259 0.429
O10 0.015 0.104 0.711
O11 0.012 0.003 0.013

- E_tot: -8.343 eV per atom

---

Entry 3:
Compound: Sr2CaTi6N2O11
Source: Materials Project
Functional: PBE
Structure: relaxed

abc: 3.637 8.495 10.085
angles: 81.06 90.00 77.63
Fractional coordinates of all 22 atoms:
Sr1 0.522 0.952 0.811
Sr2 0.452 0.093 0.293
Ca1 0.725 0.547 0.960
Ti1 0.108 0.780 0.124
Ti2 0.174 0.648 0.396
Ti3 0.205 0.586 0.696
Ti4 0.778 0.441 0.268
Ti5 0.838 0.321 0.585
Ti6 0.893 0.209 0.971
N1 0.228 0.541 0.212
N2 0.858 0.281 0.135
O1 0.063 0.870 0.286
O2 0.120 0.758 0.570
O3 0.156 0.684 0.853
O4 0.618 0.761 0.068
O5 0.707 0.582 0.423
O6 0.749 0.498 0.728
O7 0.295 0.406 0.571
O8 0.361 0.274 0.910
O9 0.873 0.252 0.412
O10 0.931 0.135 0.697
O11 0.003 0.990 0.987

- E_tot: -8.299 eV per atom

---

Entry 4:
Compound: Sr2CaTi6N2O11
Source: Materials Project
Functional: PBE
Structure: relaxed

abc: 3.875 7.439 10.121
angles: 76.60 90.12 74.95
Fractional coordinates of all 22 atoms:
Sr1 0.503 0.935 0.823
Sr2 0.487 0.013 0.474
Ca1 0.447 0.052 0.139
Ti1 0.117 0.713 0.060
Ti2 0.145 0.666 0.392
Ti3 0.201 0.551 0.725
Ti4 0.750 0.454 0.238
Ti5 0.800 0.354 0.577
Ti6 0.836 0.276 0.927
N1 0.210 0.533 0.244
N2 0.818 0.316 0.099
O1 0.013 0.917 0.298
O2 0.095 0.773 0.592
O3 0.136 0.674 0.885
O4 0.605 0.739 0.089
O5 0.658 0.637 0.422
O6 0.731 0.491 0.747
O7 0.273 0.406 0.561
O8 0.341 0.267 0.885
O9 0.853 0.256 0.405
O10 0.911 0.115 0.684
O11 0.975 0.999 0.991

- E_tot: -8.349 eV per atom

---

Entry 5:
Compound: Sr2CaTi6N2O11
Source: Materials Project
Functional: PBE
Structure: relaxed

abc: 3.887 7.549 9.908
angles: 78.42 90.04 74.99
Fractional coordinates of all 22 atoms:
Sr1 0.527 0.948 0.543
Sr2 0.449 0.116 0.198
Ca1 0.544 0.925 0.892
Ti1 0.132 0.750 0.146
Ti2 0.196 0.620 0.437
Ti3 0.230 0.552 0.778
Ti4 0.771 0.472 0.246
Ti5 0.853 0.308 0.586
Ti6 0.871 0.272 0.938
N1 0.261 0.492 0.282
N2 0.838 0.338 0.106
O1 0.072 0.869 0.307
O2 0.133 0.740 0.613
O3 0.159 0.695 0.904
O4 0.636 0.741 0.123
O5 0.706 0.600 0.452
O6 0.763 0.485 0.765
O7 0.324 0.368 0.590
O8 0.372 0.269 0.899
O9 0.903 0.211 0.427
O10 0.968 0.089 0.712
O11 0.002 0.009 0.017

- E_tot: -8.326 eV per atom

---

Entry 6:
Compound: Sr2CaTi6N2O11
Source: Materials Project
Functional: PBE
Structure: relaxed

abc: 3.875 7.448 10.094
angles: 76.71 89.99 74.91
Fractional coordinates of all 22 atoms:
Sr1 0.534 0.930 0.813
Sr2 0.496 0.008 0.464
Ca1 0.474 0.048 0.130
Ti1 0.144 0.710 0.052
Ti2 0.168 0.662 0.384
Ti3 0.225 0.548 0.716
Ti4 0.774 0.450 0.228
Ti5 0.824 0.350 0.568
Ti6 0.862 0.272 0.918
N1 0.234 0.530 0.235
N2 0.843 0.311 0.090
O1 0.041 0.914 0.289
O2 0.113 0.770 0.584
O3 0.163 0.670 0.877
O4 0.631 0.734 0.080
O5 0.681 0.635 0.414
O6 0.755 0.487 0.738
O7 0.297 0.403 0.552
O8 0.367 0.262 0.876
O9 0.873 0.253 0.396
O10 0.943 0.112 0.675
O11 0.001 0.995 0.982

- E_tot: -8.349 eV per atom

---

Entry 7:
Compound: Sr2CaTi6N2O11
Source: Materials Project
Functional: PBE
Structure: relaxed

abc: 3.925 8.006 9.874
angles: 79.03 88.11 69.91
Fractional coordinates of all 22 atoms:
Sr1 0.567 0.939 0.842
Sr2 0.490 0.168 0.202
Ca1 0.372 0.888 0.497
Ti1 0.101 0.784 0.131
Ti2 0.180 0.582 0.422
Ti3 0.208 0.537 0.751
Ti4 0.756 0.518 0.203
Ti5 0.896 0.286 0.546
Ti6 0.872 0.278 0.919
N1 0.250 0.518 0.238
N2 0.846 0.357 0.080
O1 0.019 0.861 0.298
O2 0.033 0.720 0.581
O3 0.143 0.685 0.867
O4 0.613 0.768 0.096
O5 0.684 0.578 0.420
O6 0.749 0.469 0.739
O7 0.347 0.352 0.560
O8 0.367 0.281 0.872
O9 0.001 0.195 0.387
O10 0.062 0.068 0.662
O11 0.983 0.026 0.994

- E_tot: -8.332 eV per atom

---

Entry 8:
Compound: Sr2CaTi6N2O11
Source: Materials Project
Functional: PBE
Structure: relaxed

abc: 3.911 7.804 10.077
angles: 76.26 86.44 69.48
Fractional coordinates of all 22 atoms:
Sr1 0.614 0.948 0.825
Sr2 0.464 0.061 0.174
Ca1 0.324 0.938 0.514
Ti1 0.179 0.719 0.067
Ti2 0.145 0.646 0.406
Ti3 0.201 0.539 0.747
Ti4 0.794 0.467 0.238
Ti5 0.865 0.339 0.572
Ti6 0.856 0.277 0.934
N1 0.248 0.542 0.249
N2 0.835 0.327 0.104
O1 0.007 0.902 0.335
O2 0.966 0.770 0.627
O3 0.195 0.665 0.897
O4 0.653 0.739 0.097
O5 0.664 0.624 0.434
O6 0.745 0.469 0.749
O7 0.310 0.411 0.573
O8 0.365 0.271 0.891
O9 0.967 0.258 0.407
O10 0.045 0.104 0.680
O11 0.012 0.002 0.999

- E_tot: -8.351 eV per atom

---

Entry 9:
Compound: Ca16Zr9Ta7N7O41
Source: Materials Project
Functional: PBE
Structure: relaxed

abc: 5.617 5.786 32.189
angles: 89.97 89.87 89.91
Fractional coordinates of all 80 atoms:
Ca1 0.017 0.044 0.062
Ca2 0.010 0.042 0.313
Ca3 0.017 0.044 0.565
Ca4 0.016 0.041 0.815
Ca5 0.480 0.548 0.062
Ca6 0.487 0.553 0.313
Ca7 0.482 0.549 0.814
Ca8 0.487 0.542 0.566
Ca9 0.504 0.466 0.439
Ca10 0.508 0.454 0.187
Ca11 0.505 0.450 0.685
Ca12 0.506 0.455 0.936
Ca13 0.987 0.943 0.187
Ca14 0.977 0.942 0.438
Ca15 0.986 0.943 0.686
Ca16 0.992 0.944 0.935
Zr1 0.502 0.002 0.125
Zr2 0.994 0.499 0.123
Zr3 0.993 0.499 0.001
Zr4 0.997 0.499 0.251
Zr5 0.995 0.497 0.373
Zr6 0.996 0.500 0.624
Zr7 0.994 0.498 0.873
Zr8 0.993 0.497 0.752
Zr9 0.995 0.498 0.503
Ta1 0.490 0.004 0.380
Ta2 0.513 0.987 0.625
Ta3 0.516 0.010 0.875
Ta4 0.503 0.000 0.999
Ta5 0.501 0.003 0.251
Ta6 0.498 0.001 0.749
Ta7 0.495 0.004 0.498
N1 0.405 0.026 0.438
N2 0.695 0.716 0.638
N3 0.786 0.195 0.888
N4 0.893 0.459 0.062
N5 0.899 0.464 0.312
N6 0.897 0.469 0.812
N7 0.900 0.459 0.562
O1 0.110 0.544 0.188
O2 0.103 0.542 0.437
O3 0.108 0.543 0.688
O4 0.106 0.542 0.938
O5 0.219 0.801 0.012
O6 0.217 0.804 0.263
O7 0.219 0.805 0.513
O8 0.202 0.805 0.111
O9 0.219 0.802 0.361
O10 0.218 0.804 0.762
O11 0.214 0.808 0.612
O12 0.212 0.801 0.862
O13 0.306 0.279 0.012
O14 0.310 0.286 0.263
O15 0.312 0.289 0.512
O16 0.309 0.283 0.763
O17 0.309 0.284 0.362
O18 0.309 0.301 0.112
O19 0.306 0.288 0.614
O20 0.303 0.281 0.862
O21 0.399 0.036 0.190
O22 0.403 0.031 0.689
O23 0.403 0.029 0.938
O24 0.601 0.965 0.059
O25 0.593 0.970 0.812
O26 0.597 0.969 0.310
O27 0.594 0.977 0.563
O28 0.698 0.706 0.140
O29 0.695 0.718 0.236
O30 0.695 0.720 0.736
O31 0.701 0.723 0.487
O32 0.696 0.717 0.388
O33 0.694 0.716 0.985
O34 0.689 0.713 0.888
O35 0.788 0.195 0.236
O36 0.784 0.195 0.735
O37 0.785 0.199 0.486
O38 0.786 0.193 0.985
O39 0.801 0.199 0.142
O40 0.789 0.192 0.388
O41 0.785 0.198 0.640

- E_tot: -8.509 eV per atom

---

Entry 10:
Compound: Ca2Ti6N2O11
Source: Materials Project
Functional: PBE
Structure: relaxed

abc: 7.751 7.751 9.502
angles: 80.71 80.71 28.03
Fractional coordinates of all 21 atoms:
Ca1 0.538 0.538 0.190
Ca2 0.452 0.452 0.737
Ti1 0.118 0.118 0.912
Ti2 0.172 0.172 0.570
Ti3 0.232 0.232 0.245
Ti4 0.764 0.764 0.776
Ti5 0.849 0.849 0.438
Ti6 0.883 0.883 0.077
N1 0.656 0.656 0.902
N2 0.004 0.004 0.016
O1 0.072 0.072 0.715
O2 0.131 0.131 0.402
O3 0.159 0.159 0.114
O4 0.708 0.708 0.583
O5 0.764 0.764 0.251
O6 0.258 0.258 0.743
O7 0.306 0.306 0.432
O8 0.360 0.360 0.117
O9 0.858 0.858 0.887
O10 0.894 0.894 0.603
O11 0.944 0.944 0.296

- E_tot: -8.592 eV per atom

---

Entry 11:
Compound: Ca2Ti6N2O11
Source: Materials Project
Functional: PBE
Structure: relaxed

abc: 7.697 7.697 9.316
angles: 81.66 81.66 28.47
Fractional coordinates of all 21 atoms:
Ca1 0.539 0.539 0.244
Ca2 0.449 0.449 0.754
Ti1 0.119 0.119 0.906
Ti2 0.160 0.160 0.576
Ti3 0.224 0.224 0.241
Ti4 0.767 0.767 0.757
Ti5 0.834 0.834 0.441
Ti6 0.878 0.878 0.089
N1 0.228 0.228 0.752
N2 0.874 0.874 0.616
O1 0.054 0.054 0.706
O2 0.119 0.119 0.384
O3 0.150 0.150 0.100
O4 0.627 0.627 0.892
O5 0.693 0.693 0.566
O6 0.751 0.751 0.239
O7 0.294 0.294 0.425
O8 0.356 0.356 0.123
O9 0.833 0.833 0.911
O10 0.935 0.935 0.292
O11 0.993 0.993 0.996

- E_tot: -8.588 eV per atom

---

Entry 12:
Compound: Ca2Ti6N2O11
Source: Materials Project
Functional: PBE
Structure: relaxed

abc: 7.645 7.645 9.399
angles: 80.57 80.57 28.81
Fractional coordinates of all 21 atoms:
Ca1 0.560 0.560 0.258
Ca2 0.459 0.459 0.799
Ti1 0.122 0.122 0.922
Ti2 0.157 0.157 0.565
Ti3 0.243 0.243 0.228
Ti4 0.773 0.773 0.753
Ti5 0.835 0.835 0.421
Ti6 0.877 0.877 0.097
N1 0.760 0.760 0.254
N2 0.354 0.354 0.092
O1 0.058 0.058 0.707
O2 0.115 0.115 0.395
O3 0.148 0.148 0.109
O4 0.641 0.641 0.887
O5 0.697 0.697 0.573
O6 0.239 0.239 0.755
O7 0.301 0.301 0.428
O8 0.845 0.845 0.889
O9 0.874 0.874 0.604
O10 0.940 0.940 0.282
O11 0.000 0.000 0.984

- E_tot: -8.602 eV per atom

---

The calculation returns the following ΔH_f (0 K) values, one per record and in order: -744.0; -3056.3; -3013.0; -3062.4; -3039.2; -3062.5; -3045.9; -3064.4; -3195.9; -3119.4; -3115.1; -3129.4 meV per atom.